# 1
This record from the Materials Project describes an optimized crystal structure of Na6MgCo2O6. The functional is GGA+U.

Output
**V**: 216.60 Å³ per cell
**Calculated formation energy**: -1.563 eV/atom
**M_tot**: 6.00 μB/f.u.

Lattice parameters (Å, degrees): 6.582 6.582 5.059 92.50 92.50 81.85
Fractional positions:
Na (0.111, 0.111, 0.322)
Na (0.171, 0.525, 0.354)
Na (0.475, 0.829, 0.646)
Na (0.659, 0.115, 0.216)
Na (0.885, 0.341, 0.784)
Na (0.889, 0.889, 0.678)
Mg (0.210, 0.790, 0.000)
Co (0.359, 0.265, 0.780)
Co (0.735, 0.641, 0.220)
O (0.177, 0.046, 0.791)
O (0.217, 0.526, 0.801)
O (0.474, 0.783, 0.199)
O (0.613, 0.134, 0.721)
O (0.866, 0.387, 0.279)
O (0.954, 0.823, 0.209)



# 2
This record from the Materials Project describes an optimized crystal structure of NaMgCoO2. The functional is GGA+U.

Output
**V**: 67.59 Å³ per cell
**Calculated formation energy**: -1.528 eV/atom
**M_tot**: 2.02 μB/f.u.

Lattice parameters (Å, degrees): 7.639 7.639 7.639 24.54 24.54 24.54
Fractional positions:
Na (0.000, 0.000, 0.000)
Mg (0.557, 0.557, 0.557)
Co (0.434, 0.434, 0.434)
O (0.256, 0.256, 0.256)
O (0.740, 0.740, 0.740)



# 3
This record from the Materials Project describes an optimized crystal structure of Na2MgCo2O4. The functional is GGA+U.

Output
**V**: 113.20 Å³ per cell
**Calculated formation energy**: -1.040 eV/atom
**M_tot**: 6.00 μB/f.u.

Lattice parameters (Å, degrees): 10.959 3.442 3.442 60.70 90.00 90.00
Fractional positions:
Na (0.000, 0.000, 0.000)
Na (0.500, 0.006, 0.006)
Mg (0.500, 0.343, 0.343)
Co (0.212, 0.664, 0.664)
Co (0.788, 0.664, 0.664)
O (0.153, 0.330, 0.330)
O (0.393, 0.670, 0.670)
O (0.607, 0.670, 0.670)
O (0.847, 0.330, 0.330)



# 4
This record from the Materials Project describes an optimized crystal structure of Na3MgCo2SbO6. The functional is GGA+U.

Output
**V**: 192.30 Å³ per cell
**Calculated formation energy**: -1.671 eV/atom
**M_tot**: 6.00 μB/f.u.

Lattice parameters (Å, degrees): 6.081 6.097 6.566 76.61 62.92 62.57
Fractional positions:
Na (0.000, 0.000, 0.000)
Na (0.315, 0.455, 0.880)
Na (0.683, 0.697, 0.888)
Mg (0.377, 0.614, 0.384)
Co (0.808, 0.097, 0.571)
Co (0.910, 0.568, 0.389)
Sb (0.372, 0.100, 0.456)
O (0.085, 0.813, 0.659)
O (0.197, 0.645, 0.191)
O (0.430, 0.057, 0.741)
O (0.625, 0.786, 0.272)
O (0.653, 0.249, 0.325)
O (0.753, 0.413, 0.660)



no.,relative energy among the computed polymorphs (eV/atom)
1,0.027
2,0.017
3,0.595
4,0.000